Here is a relaxed structure of MnP4O11 from the Materials Project. Energies are from PBE+U.

a = 12.7102 Å, b = 8.4346 Å, c = 11.5842 Å
α = 48.34°, β = 90.00°, γ = 90.00°
Closest atoms and distances in Å follow each position.
Positions (direct):
P (0.3351, 0.6485, 0.7335)  4 O 1.47-1.60
O (0.8962, 0.2286, 0.7420)  1 P 1.47
O (0.0292, 0.7833, 0.7054)  1 P 1.49
O (0.2822, 0.1706, 0.4221)  2 P 1.57-1.65
O (0.1941, 0.0278, 0.3145)  1 P 1.48
O (0.1038, 0.7714, 0.2580)  1 P 1.47
P (0.9963, 0.3433, 0.3380)  4 O 1.48-1.66
O (0.7822, 0.8294, 0.0779)  2 P 1.57-1.65
O (0.2299, 0.7789, 0.0789)  2 P 1.58-1.65
O (0.0873, 0.2849, 0.0259)  1 P 1.47
O (0.4708, 0.7833, 0.2054)  1 P 1.49
P (0.5037, 0.3433, 0.8380)  4 O 1.48-1.66
O (0.6020, 0.0007, 0.6507)  1 P 1.48
O (0.6941, 0.9722, 0.1855)  1 P 1.48
O (0.5997, 0.5112, 0.2664)  2 P 1.58-1.65
O (0.5873, 0.7151, 0.4741)  1 P 1.47
P (0.6649, 0.3515, 0.2665)  4 O 1.47-1.60
O (0.9127, 0.7151, 0.9741)  1 P 1.47
O (0.4127, 0.2849, 0.5259)  1 P 1.47
O (0.7701, 0.2211, 0.9211)  2 P 1.58-1.65
Mn (0.5328, 0.9926, 0.2363)  6 O 2.17-2.23
O (0.0124, 0.2534, 0.4986)  1 P 1.48
O (0.1020, 0.9993, 0.8493)  1 P 1.48
Mn (0.4672, 0.0074, 0.7637)  6 O 2.17-2.23
P (0.1649, 0.6485, 0.2335)  4 O 1.47-1.60
O (0.8059, 0.9722, 0.6855)  1 P 1.48
O (0.9055, 0.5299, 0.2621)  2 P 1.58-1.66
O (0.0997, 0.4888, 0.2336)  2 P 1.58-1.65
P (0.6538, 0.6496, 0.6031)  4 O 1.47-1.61
O (0.2456, 0.5087, 0.8625)  2 P 1.60-1.61
O (0.4055, 0.4701, 0.2379)  2 P 1.58-1.66
O (0.3980, 0.9993, 0.3493)  1 P 1.48
O (0.2178, 0.1706, 0.9221)  2 P 1.57-1.65
Mn (0.9672, 0.9926, 0.7363)  6 O 2.17-2.23
O (0.7178, 0.8294, 0.5779)  2 P 1.57-1.65
O (0.7544, 0.4913, 0.1375)  2 P 1.60-1.61
P (0.4963, 0.6567, 0.1620)  4 O 1.48-1.66
O (0.7299, 0.2211, 0.4211)  2 P 1.58-1.65
O (0.8980, 0.0007, 0.1507)  1 P 1.48
P (0.1538, 0.3504, 0.8969)  4 O 1.47-1.61
O (0.3962, 0.7714, 0.7580)  1 P 1.47
O (0.5292, 0.2167, 0.7946)  1 P 1.49
P (0.2902, 0.9986, 0.3984)  4 O 1.48-1.65
P (0.7902, 0.0014, 0.1016)  4 O 1.48-1.65
P (0.8462, 0.6496, 0.1031)  4 O 1.47-1.61
O (0.6038, 0.2286, 0.2420)  1 P 1.47
O (0.5124, 0.7466, 0.0014)  1 P 1.48
O (0.9708, 0.2167, 0.2946)  1 P 1.49
P (0.3462, 0.3504, 0.3969)  4 O 1.47-1.61
O (0.9876, 0.7466, 0.5014)  1 P 1.48
O (0.2544, 0.5087, 0.3625)  2 P 1.60-1.61
O (0.5945, 0.5299, 0.7621)  2 P 1.58-1.66
O (0.0945, 0.4701, 0.7379)  2 P 1.58-1.66
P (0.7098, 0.0014, 0.6016)  4 O 1.48-1.65
P (0.8351, 0.3515, 0.7665)  4 O 1.47-1.60
O (0.4876, 0.2534, 0.9986)  1 P 1.48
O (0.9003, 0.5112, 0.7664)  2 P 1.58-1.65
P (0.2098, 0.9986, 0.8984)  4 O 1.48-1.65
P (0.0037, 0.6567, 0.6620)  4 O 1.48-1.66
O (0.2701, 0.7789, 0.5789)  2 P 1.58-1.65
Mn (0.0328, 0.0074, 0.2637)  6 O 2.17-2.23
O (0.4003, 0.4888, 0.7336)  2 P 1.58-1.65
O (0.7456, 0.4913, 0.6375)  2 P 1.60-1.61
O (0.3059, 0.0278, 0.8145)  1 P 1.48

Energy of formation from the pure elements: -2.5560 eV per atom
Crystal system: monoclinic
Energy relative to the lowest polymorph listed for this composition: 0 meV/atom

=====

Here is a relaxed structure of Li2NiSnP2O8 from the Materials Project. Energies are from PBE+U.

a = 6.3719 Å, b = 4.8313 Å, c = 10.8536 Å
α = 89.12°, β = 90.00°, γ = 90.00°
Closest atoms and distances in Å follow each position.
Positions (direct):
P (0.2500, 0.1328, 0.6071)  4 O 1.53-1.57
P (0.7500, 0.8672, 0.3929)  4 O 1.53-1.57
O (0.2500, 0.2931, 0.9431)  1 P 1.56
Ni (0.2500, 0.5309, 0.7855)  6 O 2.05-2.24
O (0.7500, 0.1839, 0.3795)  1 P 1.53
P (0.7500, 0.5722, 0.9269)  4 O 1.54-1.58
Li (0.0000, 0.5000, 0.5000)  4 O 2.05-2.16
Sn (0.7500, 0.0160, 0.7251)  6 O 2.41-2.52
O (0.7500, 0.7581, 0.5285)  1 P 1.56
O (0.2500, 0.8161, 0.6205)  1 P 1.53
Ni (0.7500, 0.4691, 0.2145)  6 O 2.05-2.24
Sn (0.2500, 0.9840, 0.2749)  6 O 2.41-2.52
Li (0.5000, 0.5000, 0.5000)  4 O 2.05-2.16
O (0.9414, 0.7210, 0.3291)  1 P 1.57
O (0.5586, 0.7210, 0.3291)  1 P 1.57
O (0.4475, 0.3056, 0.1435)  1 P 1.58
O (0.0586, 0.2790, 0.6709)  1 P 1.57
O (0.7500, 0.7069, 0.0569)  1 P 1.56
O (0.7500, 0.2536, 0.9304)  1 P 1.54
O (0.9475, 0.6944, 0.8565)  1 P 1.58
O (0.2500, 0.7464, 0.0696)  1 P 1.54
O (0.5525, 0.6944, 0.8565)  1 P 1.58
O (0.2500, 0.2419, 0.4715)  1 P 1.56
Li (0.5000, 0.0000, 0.0000)  6 O 2.14-2.21
P (0.2500, 0.4278, 0.0731)  4 O 1.54-1.58
O (0.4414, 0.2790, 0.6709)  1 P 1.57
O (0.0525, 0.3056, 0.1435)  1 P 1.58
Li (0.0000, 0.0000, 0.0000)  6 O 2.14-2.21

Energy of formation from the pure elements: -2.3393 eV per atom
Crystal system: monoclinic

=====

Here is a relaxed structure of Li4TiCo3O8 from the Materials Project. Energies are from PBE+U.

a = 5.8531 Å, b = 8.3865 Å, c = 5.9373 Å
α = 89.25°, β = 89.52°, γ = 90.25°
Closest atoms and distances in Å follow each position.
Positions (direct):
Li (0.7474, 0.7502, 0.7509)  6 O 2.09-2.23
O (0.2491, 0.0004, 0.2246)  2 Co 1.97-2.12, 1 Ti 2.00, 3 Li 2.09-2.20
O (0.9963, 0.2425, 0.5225)  3 Co 1.94-2.14, 1 Li 2.06
Li (0.0003, 0.4997, 0.0019)  6 O 2.16-2.22
O (0.4997, 0.2622, 0.5064)  1 Ti 2.02, 2 Co 2.04-2.07, 3 Li 2.11-2.20
Li (0.2528, 0.2494, 0.2475)  6 O 2.09-2.21
Li (0.4998, 0.5004, 0.9985)  6 O 2.06-2.28
O (0.7473, 0.0021, 0.7719)  2 Co 1.98-2.12, 1 Ti 2.00, 3 Li 2.12-2.18
Li (0.7468, 0.2493, 0.2468)  6 O 2.07-2.20
Co (0.0026, 0.4971, 0.5052)  6 O 2.08-2.14
O (0.2620, 0.4868, 0.7424)  2 Co 1.97-2.08, 1 Ti 2.06, 2 Li 2.07-2.17
O (0.4855, 0.7711, 0.0210)  3 Co 1.95-2.07, 1 Li 2.12
Co (0.4968, 0.0026, 0.9974)  6 O 1.95-1.99
Co (0.2477, 0.7484, 0.2542)  6 O 1.91-2.12
Ti (0.5066, 0.5035, 0.4906)  6 O 1.92-2.06
O (0.5053, 0.2349, 0.9786)  3 Co 1.95-2.03, 2 Li 2.14-2.17
O (0.0010, 0.2380, 0.9910)  1 Ti 2.03, 2 Co 2.04-2.06, 3 Li 2.12-2.20
Co (0.7539, 0.2543, 0.7463)  6 O 1.94-2.12
Co (0.7490, 0.7497, 0.2498)  6 O 2.07-2.12
Li (0.0012, 0.9978, 0.5021)  6 O 2.06-2.24
O (0.2643, 0.5037, 0.2613)  1 Ti 1.97, 2 Co 2.05-2.10, 3 Li 2.07-2.19
Co (0.2503, 0.2522, 0.7494)  6 O 1.97-2.04
Li (0.2524, 0.7512, 0.7520)  6 O 2.05-2.22
O (0.4958, 0.7352, 0.5036)  1 Ti 1.95, 2 Li 2.05-2.09, 2 Co 2.09-2.11
O (0.7445, 0.0026, 0.2247)  1 Ti 1.94, 2 Co 1.99-2.12, 2 Li 2.07-2.16
O (0.0130, 0.7517, 0.4797)  3 Co 1.91-2.14, 1 Li 2.07
O (0.7379, 0.4951, 0.7419)  2 Co 2.02-2.08, 1 Ti 2.02, 3 Li 2.06-2.19
O (0.2530, 0.0092, 0.7710)  2 Co 1.97-2.04, 1 Ti 2.06, 3 Li 2.15-2.18
O (0.0031, 0.7645, 0.9979)  1 Ti 1.94, 2 Li 2.06-2.11, 2 Co 2.10
O (0.7434, 0.4984, 0.2642)  1 Ti 1.92, 2 Li 2.09-2.14, 2 Co 2.09-2.11
Li (0.4995, 0.0005, 0.4999)  6 O 2.15-2.22
Ti (0.9920, 0.9955, 0.0048)  6 O 1.94-2.06

Energy of formation from the pure elements: -2.0839 eV per atom
Crystal system: triclinic
Energy relative to the lowest polymorph listed for this composition: 0 meV/atom

=====

Here is a relaxed structure of CaCo3P3O13 from the Materials Project. Energies are from PBE+U.

a = 6.3617 Å, b = 7.5233 Å, c = 10.2211 Å
α = 79.94°, β = 90.00°, γ = 90.00°
Closest atoms and distances in Å follow each position.
Positions (direct):
Co (0.2500, 0.2094, 0.4386)  5 O 1.82-2.00
O (0.5476, 0.7937, 0.9044)  1 P 1.55
O (0.0476, 0.2063, 0.0956)  1 P 1.55
O (0.2500, 0.6549, 0.3856)  1 P 1.53
O (0.5607, 0.6222, 0.2097)  1 P 1.55
O (0.2500, 0.2132, 0.6236)  1 P 1.53
Ca (0.7500, 0.3380, 0.1953)  7 O 2.41-2.57
P (0.7500, 0.6858, 0.8853)  4 O 1.55-1.56
O (0.4393, 0.3778, 0.7903)  1 P 1.55
Co (0.2500, 0.6511, 0.1983)  4 O 1.86-1.99
Co (0.7500, 0.7906, 0.5614)  5 O 1.82-2.00
Co (0.0000, 0.0000, 0.0000)  6 O 1.98-2.11
P (0.7500, 0.7407, 0.2363)  4 O 1.53-1.56
O (0.0598, 0.7527, 0.5815)  1 P 1.55
O (0.2500, 0.3592, 0.2580)  1 P 1.56
O (0.4524, 0.2063, 0.0956)  1 P 1.55
O (0.7500, 0.4923, 0.9676)  1 P 1.55
O (0.2500, 0.9805, 0.4038)  1 P 1.56
O (0.7500, 0.3451, 0.6144)  1 P 1.53
O (0.2500, 0.5077, 0.0324)  1 P 1.55
O (0.0607, 0.3778, 0.7903)  1 P 1.55
P (0.2500, 0.3142, 0.1147)  4 O 1.55-1.56
O (0.2500, 0.8767, 0.0887)  3 Co 1.86-1.98
O (0.2500, 0.0788, 0.8664)  1 P 1.56
O (0.7500, 0.9212, 0.1336)  1 P 1.56
O (0.7500, 0.7868, 0.3764)  1 P 1.53
O (0.9402, 0.2473, 0.4185)  1 P 1.55
P (0.2500, 0.2593, 0.7637)  4 O 1.53-1.56
Ca (0.2500, 0.6620, 0.8047)  7 O 2.41-2.57
P (0.2500, 0.7842, 0.4855)  4 O 1.53-1.56
Co (0.7500, 0.3489, 0.8017)  4 O 1.86-1.99
O (0.9393, 0.6222, 0.2097)  1 P 1.55
O (0.9524, 0.7937, 0.9044)  1 P 1.55
O (0.7500, 0.1233, 0.9113)  3 Co 1.86-1.98
O (0.5598, 0.2473, 0.4185)  1 P 1.55
P (0.7500, 0.2158, 0.5145)  4 O 1.53-1.56
O (0.7500, 0.6408, 0.7420)  1 P 1.56
O (0.7500, 0.0195, 0.5962)  1 P 1.56
Co (0.5000, 0.0000, 0.0000)  6 O 1.98-2.11
O (0.4402, 0.7527, 0.5815)  1 P 1.55

Energy of formation from the pure elements: -2.2626 eV per atom
Crystal system: monoclinic

=====

Here is a relaxed structure of K2MnAgF6 from the Materials Project. Energies are from PBE+U.

a = 6.1272 Å, b = 6.1272 Å, c = 6.1272 Å
α = 60.00°, β = 60.00°, γ = 60.00°
Closest atoms and distances in Å follow each position.
Positions (direct):
K (0.7500, 0.7500, 0.7500)  12 F 3.07
F (0.7732, 0.7732, 0.2268)  1 Mn 1.97
Mn (0.0000, 0.0000, 0.0000)  6 F 1.97
F (0.2268, 0.7732, 0.2268)  1 Mn 1.97
F (0.2268, 0.7732, 0.7732)  1 Mn 1.97
K (0.2500, 0.2500, 0.2500)  12 F 3.07
F (0.2268, 0.2268, 0.7732)  1 Mn 1.97
F (0.7732, 0.2268, 0.7732)  1 Mn 1.97
Ag (0.5000, 0.5000, 0.5000)  6 F 2.37
F (0.7732, 0.2268, 0.2268)  1 Mn 1.97

Energy of formation from the pure elements: -2.5966 eV per atom
Crystal system: cubic

=====

> What is the energy of formation from the pure elements in the third record?

-2.0839 eV per atom

=====

Please write out number 5 again, unchanged.
Here is a relaxed structure of K2MnAgF6 from the Materials Project. Energies are from PBE+U.

a = 6.1272 Å, b = 6.1272 Å, c = 6.1272 Å
α = 60.00°, β = 60.00°, γ = 60.00°
Closest atoms and distances in Å follow each position.
Positions (direct):
K (0.7500, 0.7500, 0.7500)  12 F 3.07
F (0.7732, 0.7732, 0.2268)  1 Mn 1.97
Mn (0.0000, 0.0000, 0.0000)  6 F 1.97
F (0.2268, 0.7732, 0.2268)  1 Mn 1.97
F (0.2268, 0.7732, 0.7732)  1 Mn 1.97
K (0.2500, 0.2500, 0.2500)  12 F 3.07
F (0.2268, 0.2268, 0.7732)  1 Mn 1.97
F (0.7732, 0.2268, 0.7732)  1 Mn 1.97
Ag (0.5000, 0.5000, 0.5000)  6 F 2.37
F (0.7732, 0.2268, 0.2268)  1 Mn 1.97

Energy of formation from the pure elements: -2.5966 eV per atom
Crystal system: cubic

=====

> Among the records above, which one has the lowest energy of formation from the pure elements?

K2MnAgF6

=====

> What is the formula in the fifth record?

K2MnAgF6